# NbCr3Ag2S8

Crystalline NbCr3Ag2S8 at its relaxed geometry (PBE, the Materials Project database).

a b c (Å): 3.455 11.230 12.952
angles (deg): 90.00 90.00 90.00
Space group Pmn2_1 (No. 31)
One atom of each set of equivalent atoms:
1 Nb 0.000 0.156 0.000 [2 per cell]
2 Cr 0.000 0.204 0.514 [2 per cell]
3 Cr 0.000 0.664 0.303 [2 per cell]
4 Cr 0.000 0.685 0.794 [2 per cell]
5 Ag 0.000 0.501 0.578 [2 per cell]
6 Ag 0.000 0.992 0.730 [2 per cell]
7 S 0.000 0.172 0.333 [2 per cell]
8 S 0.000 0.288 0.687 [2 per cell]
9 S 0.000 0.367 0.928 [2 per cell]
10 S 0.000 0.454 0.250 [2 per cell]
11 S 0.000 0.660 0.973 [2 per cell]
12 S 0.000 0.772 0.619 [2 per cell]
13 S 0.000 0.870 0.361 [2 per cell]
14 S 0.000 0.946 0.047 [2 per cell]

Results
volume: 17.9 Å³ per atom
formation energy from the elements: -0.80 eV per atom

# NbCr3Ag2S8

Crystalline NbCr3Ag2S8 at its relaxed geometry (PBE, the Materials Project database).

a b c (Å): 5.831 3.402 12.831
angles (deg): 90.00 92.21 90.00
Space group Pm (No. 6)
One atom of each set of equivalent atoms:
1 Nb 0.000 0.000 0.000 [1 per cell]
2 Cr 0.419 0.500 0.008 [1 per cell]
3 Cr 0.507 0.500 0.500 [1 per cell]
4 Cr 0.911 0.000 0.506 [1 per cell]
5 Ag 0.465 0.500 0.747 [1 per cell]
6 Ag 0.964 0.000 0.256 [1 per cell]
7 S 0.116 0.500 0.876 [1 per cell]
8 S 0.117 0.500 0.412 [1 per cell]
9 S 0.300 0.000 0.592 [1 per cell]
10 S 0.316 0.000 0.127 [1 per cell]
11 S 0.600 0.000 0.907 [1 per cell]
12 S 0.609 0.000 0.388 [1 per cell]
13 S 0.782 0.500 0.105 [1 per cell]
14 S 0.811 0.500 0.618 [1 per cell]

Results
volume: 18.2 Å³ per atom
formation energy from the elements: -0.84 eV per atom

# NbCr3Ag2S8

Crystalline NbCr3Ag2S8 at its relaxed geometry (PBE, the Materials Project database).

a b c (Å): 5.985 7.007 6.475
angles (deg): 90.00 91.98 90.00
Space group P2/m (No. 10)
One atom of each set of equivalent atoms:
1 Nb 0.000 0.000 0.000 [1 per cell]
2 Cr 0.000 0.500 0.000 [1 per cell]
3 Cr 0.500 0.251 0.000 [2 per cell]
4 Ag 0.000 0.000 0.500 [1 per cell]
5 Ag 0.000 0.500 0.500 [1 per cell]
6 S 0.178 0.256 0.216 [4 per cell]
7 S 0.329 0.500 0.800 [2 per cell]
8 S 0.337 0.000 0.785 [2 per cell]

Results
volume: 19.4 Å³ per atom
formation energy from the elements: -0.87 eV per atom

# NbCr3Ag2S8

Crystalline NbCr3Ag2S8 at its relaxed geometry (PBE, the Materials Project database).

a b c (Å): 6.004 6.973 6.516
angles (deg): 90.00 91.19 90.00
Space group P2/m (No. 10)
One atom of each set of equivalent atoms:
1 Nb 0.000 0.000 0.000 [1 per cell]
2 Cr 0.000 0.500 0.000 [1 per cell]
3 Cr 0.500 0.250 0.000 [2 per cell]
4 Ag 0.500 0.253 0.500 [2 per cell]
5 S 0.173 0.256 0.214 [4 per cell]
6 S 0.329 0.500 0.797 [2 per cell]
7 S 0.335 0.000 0.784 [2 per cell]

Results
volume: 19.5 Å³ per atom
formation energy from the elements: -0.88 eV per atom

# NbCr3Ag2S8

Crystalline NbCr3Ag2S8 at its relaxed geometry (PBE, the Materials Project database).

a b c (Å): 12.266 7.254 11.647
angles (deg): 90.00 90.36 90.00
Space group Pc (No. 7)
One atom of each set of equivalent atoms:
1 Nb 0.000 0.097 0.000 [2 per cell]
2 Nb 0.365 0.390 0.467 [2 per cell]
3 Cr 0.199 0.148 0.233 [2 per cell]
4 Cr 0.245 0.371 0.768 [2 per cell]
5 Cr 0.494 0.114 0.717 [2 per cell]
6 Cr 0.692 0.121 0.470 [2 per cell]
7 Cr 0.740 0.379 0.949 [2 per cell]
8 Cr 0.856 0.366 0.234 [2 per cell]
9 Ag 0.010 0.381 0.507 [2 per cell]
10 Ag 0.358 0.123 0.992 [2 per cell]
11 Ag 0.522 0.373 0.198 [2 per cell]
12 Ag 0.849 0.119 0.720 [2 per cell]
13 S 0.037 0.330 0.149 [2 per cell]
14 S 0.060 0.109 0.636 [2 per cell]
15 S 0.156 0.126 0.880 [2 per cell]
16 S 0.181 0.376 0.380 [2 per cell]
17 S 0.295 0.414 0.126 [2 per cell]
18 S 0.312 0.151 0.636 [2 per cell]
19 S 0.383 0.127 0.329 [2 per cell]
20 S 0.424 0.368 0.845 [2 per cell]
21 S 0.542 0.325 0.566 [2 per cell]
22 S 0.556 0.079 0.080 [2 per cell]
23 S 0.657 0.127 0.836 [2 per cell]
24 S 0.685 0.372 0.334 [2 per cell]
25 S 0.803 0.416 0.592 [2 per cell]
26 S 0.805 0.154 0.082 [2 per cell]
27 S 0.878 0.122 0.391 [2 per cell]
28 S 0.909 0.382 0.864 [2 per cell]

Results
volume: 18.5 Å³ per atom
formation energy from the elements: -0.67 eV per atom

# NbCr3Ag2S8

Crystalline NbCr3Ag2S8 at its relaxed geometry (PBE, the Materials Project database).

a b c (Å): 3.462 13.031 11.190
angles (deg): 90.00 90.00 90.00
Space group Pmc2_1 (No. 26)
One atom of each set of equivalent atoms:
1 Nb 0.000 0.154 0.000 [2 per cell]
2 Cr 0.000 0.367 0.529 [2 per cell]
3 Cr 0.500 0.144 0.641 [2 per cell]
4 Cr 0.500 0.350 0.174 [2 per cell]
5 Ag 0.000 0.432 0.832 [2 per cell]
6 Ag 0.500 0.090 0.336 [2 per cell]
7 S 0.000 0.104 0.789 [2 per cell]
8 S 0.000 0.184 0.503 [2 per cell]
9 S 0.000 0.225 0.210 [2 per cell]
10 S 0.000 0.464 0.121 [2 per cell]
11 S 0.500 0.032 0.067 [2 per cell]
12 S 0.500 0.290 0.968 [2 per cell]
13 S 0.500 0.322 0.671 [2 per cell]
14 S 0.500 0.403 0.386 [2 per cell]

Results
volume: 18.0 Å³ per atom
formation energy from the elements: -0.80 eV per atom

Result set for MP2020-corrected energy: -6.36, -6.40, -6.43, -6.44, -6.23, -6.36 eV/atom, one per record in the order listed.